First-principles (PBE) data for a relaxed structure of Rb2ZnF4, as listed in the Materials Project database.

- Energy of formation: -2.839 eV per atom
- VASP energy: -4.130 eV per atom
- E (MP2020): -30.76 eV/cell
- Calculated volume: 17.63 Å³/atom

a b c (Å): 7.5415 7.5415 7.5415
angles (deg): 147.50 147.50 46.63
Last column: nearest neighbours and their distance in Å.
Positions (direct):
Rb: 0.1452 0.1452 0.0000  9 F 2.88-2.98
Rb: 0.8548 0.8548 0.0000  9 F 2.88-2.98
Zn: 0.5000 0.5000 0.0000  6 F 2.04-2.11
F: 0.0000 0.5000 0.5000  2 Zn 2.11
F: 0.3528 0.3528 0.0000  1 Zn 2.04
F: 0.5000 0.0000 0.5000  2 Zn 2.11
F: 0.6472 0.6472 0.0000  1 Zn 2.04